Entry from Materials Project: crystalline MgAl2SiO5 at its relaxed geometry (PBE).

Cell lengths 5.448, 14.662, 14.662 Å; angles 113.91, 90.00, 90.00 degrees
Atoms (fractional coordinates):
Si1 0.880 0.583 0.800
Si2 0.120 0.200 0.417
Si3 0.380 0.300 0.083
Si4 0.380 0.700 0.917
Si5 0.880 0.417 0.200
Si6 0.120 0.800 0.583
Si7 0.620 0.083 0.300
Si8 0.620 0.917 0.700
O1 0.609 0.649 0.483
O2 0.391 0.517 0.351
O3 0.391 0.483 0.649
O4 0.409 0.311 0.976
O5 0.648 0.351 0.134
O6 0.623 0.940 0.816
O7 0.109 0.017 0.851
O8 0.352 0.134 0.351
O9 0.948 0.659 0.100
O10 0.352 0.866 0.649
O11 0.852 0.149 0.366
O12 0.448 0.600 0.159
O13 0.052 0.900 0.341
O14 0.123 0.316 0.440
O15 0.377 0.816 0.940
O16 0.091 0.189 0.524
O17 0.552 0.841 0.400
O18 0.852 0.851 0.634
O19 0.891 0.851 0.017
O20 0.877 0.440 0.316
O21 0.623 0.060 0.184
O22 0.909 0.524 0.189
O23 0.052 0.100 0.659
O24 0.148 0.634 0.851
O25 0.448 0.400 0.841
O26 0.909 0.476 0.811
O27 0.123 0.684 0.560
O28 0.609 0.351 0.517
O29 0.891 0.149 0.983
O30 0.377 0.184 0.060
O31 0.148 0.366 0.149
O32 0.552 0.159 0.600
O33 0.591 0.976 0.311
O34 0.409 0.689 0.024
O35 0.648 0.649 0.866
O36 0.091 0.811 0.476
O37 0.591 0.024 0.689
O38 0.948 0.341 0.900
O39 0.877 0.560 0.684
O40 0.109 0.983 0.149
Mg1 0.281 0.541 0.239
Mg2 0.719 0.761 0.459
Mg3 0.781 0.739 0.041
Mg4 0.219 0.959 0.261
Mg5 0.281 0.459 0.761
Mg6 0.219 0.041 0.739
Mg7 0.719 0.239 0.541
Mg8 0.781 0.261 0.959
Al1 0.244 0.402 0.940
Al2 0.756 0.940 0.402
Al3 0.700 0.483 0.581
Al4 0.700 0.517 0.419
Al5 0.744 0.440 0.902
Al6 0.756 0.060 0.598
Al7 0.200 0.919 0.017
Al8 0.300 0.419 0.517
Al9 0.244 0.598 0.060
Al10 0.200 0.081 0.983
Al11 0.256 0.902 0.440
Al12 0.744 0.560 0.098
Al13 0.256 0.098 0.560
Al14 0.300 0.581 0.483
Al15 0.800 0.017 0.919
Al16 0.800 0.983 0.081

Values from the calculation:
- Total DFT energy (no corrections): -480.86 eV for the cell shown
- SG: Ccce, No. 68
- E_form: -2.698 eV per atom
- Calculated volume: 14.87 Å³/atom

=====

Entry from Materials Project: crystalline Mg6AlSiO8 at its relaxed geometry (PBE).

Cell lengths 8.652, 4.362, 4.362 Å; angles 90.00, 90.00, 90.00 degrees
Atoms (fractional coordinates):
O1 0.000 0.000 0.500
O2 0.761 0.000 0.000
O3 0.000 0.500 0.000
O4 0.500 0.500 0.000
O5 0.738 0.500 0.500
O6 0.262 0.500 0.500
O7 0.239 0.000 0.000
O8 0.500 0.000 0.500
Mg1 0.253 0.500 0.000
Mg2 0.500 0.500 0.500
Mg3 0.500 0.000 0.000
Mg4 0.747 0.000 0.500
Mg5 0.253 0.000 0.500
Mg6 0.747 0.500 0.000
Si1 0.000 0.500 0.500
Al1 0.000 0.000 0.000

Values from the calculation:
- Total DFT energy (no corrections): -93.39 eV for the cell shown
- SG: P4/mmm, No. 123
- E_form: -2.533 eV per atom
- Calculated volume: 10.29 Å³/atom
- Polymorph energy (0 for the lowest one): 109 meV per atom

=====

Entry from Materials Project: crystalline Mg6AlSiO8 at its relaxed geometry (PBE).

Cell lengths 9.399, 4.169, 4.169 Å; angles 90.00, 90.00, 90.00 degrees
Atoms (fractional coordinates):
O1 0.255 0.500 0.500
O2 0.000 0.500 0.000
O3 0.500 0.000 0.500
O4 0.191 0.000 0.000
O5 0.745 0.500 0.500
O6 0.809 0.000 0.000
O7 0.500 0.500 0.000
O8 0.000 0.000 0.500
Al1 0.000 0.000 0.000
Si1 0.500 0.000 0.000
Mg1 0.749 0.500 0.000
Mg2 0.251 0.000 0.500
Mg3 0.251 0.500 0.000
Mg4 0.000 0.500 0.500
Mg5 0.749 0.000 0.500
Mg6 0.500 0.500 0.500

Values from the calculation:
- Total DFT energy (no corrections): -95.13 eV for the cell shown
- SG: P4/mmm, No. 123
- E_form: -2.642 eV per atom
- Calculated volume: 10.21 Å³/atom
- Polymorph energy (0 for the lowest one): 0 meV per atom

=====

Entry from Materials Project: crystalline Mg2Al4Si5O18 at its relaxed geometry (PBE).

Cell lengths 9.450, 9.836, 9.903 Å; angles 119.50, 89.98, 90.06 degrees
Atoms (fractional coordinates):
Si1 0.000 0.103 0.729
Si2 0.500 0.627 0.730
Si3 0.750 0.502 0.002
Si4 0.999 0.732 0.624
Si5 0.501 0.898 0.633
Si6 0.000 0.625 0.891
Si7 0.501 0.114 0.378
Si8 0.500 0.268 0.899
Si9 0.500 0.375 0.267
Si10 0.999 0.266 0.379
O1 0.851 0.515 0.868
O2 0.993 0.313 0.246
O3 0.359 0.483 0.345
O4 0.860 0.351 0.494
O5 0.501 0.693 0.912
O6 0.857 0.135 0.651
O7 0.360 0.870 0.528
O8 0.640 0.867 0.523
O9 0.999 0.084 0.317
O10 0.506 0.938 0.240
O11 0.501 0.303 0.078
O12 0.640 0.146 0.492
O13 0.993 0.685 0.763
O14 0.507 0.081 0.776
O15 0.142 0.134 0.651
O16 0.360 0.144 0.489
O17 0.846 0.478 0.124
O18 0.149 0.858 0.351
O19 0.653 0.645 0.123
O20 0.501 0.772 0.693
O21 0.641 0.515 0.649
O22 0.643 0.484 0.343
O23 0.144 0.488 0.138
O24 0.999 0.764 0.063
O25 0.359 0.516 0.649
O26 0.143 0.656 0.520
O27 0.999 0.919 0.691
O28 0.858 0.655 0.515
O29 0.648 0.352 0.876
O30 0.359 0.648 0.138
O31 0.999 0.218 0.911
O32 0.849 0.856 0.348
O33 0.141 0.350 0.491
O34 0.138 0.509 0.856
O35 0.362 0.348 0.864
O36 0.501 0.235 0.310
Mg1 0.752 0.331 0.663
Mg2 0.752 0.667 0.329
Mg3 0.248 0.332 0.666
Mg4 0.248 0.666 0.324
Al1 0.249 0.499 0.497
Al2 0.752 0.498 0.497
Al3 0.000 0.888 0.263
Al4 0.001 0.364 0.103
Al5 0.251 0.999 0.497
Al6 0.499 0.742 0.104
Al7 0.249 0.503 0.003
Al8 0.749 0.998 0.496

Values from the calculation:
- Total DFT energy (no corrections): -435.95 eV for the cell shown
- SG: P1, No. 1
- E_form: -3.309 eV per atom
- Calculated volume: 13.81 Å³/atom
- Polymorph energy (0 for the lowest one): 24 meV per atom

=====

Please write out number 3 again, unchanged.
Entry from Materials Project: crystalline Mg6AlSiO8 at its relaxed geometry (PBE).

Cell lengths 9.399, 4.169, 4.169 Å; angles 90.00, 90.00, 90.00 degrees
Atoms (fractional coordinates):
O1 0.255 0.500 0.500
O2 0.000 0.500 0.000
O3 0.500 0.000 0.500
O4 0.191 0.000 0.000
O5 0.745 0.500 0.500
O6 0.809 0.000 0.000
O7 0.500 0.500 0.000
O8 0.000 0.000 0.500
Al1 0.000 0.000 0.000
Si1 0.500 0.000 0.000
Mg1 0.749 0.500 0.000
Mg2 0.251 0.000 0.500
Mg3 0.251 0.500 0.000
Mg4 0.000 0.500 0.500
Mg5 0.749 0.000 0.500
Mg6 0.500 0.500 0.500

Values from the calculation:
- Total DFT energy (no corrections): -95.13 eV for the cell shown
- SG: P4/mmm, No. 123
- E_form: -2.642 eV per atom
- Calculated volume: 10.21 Å³/atom
- Polymorph energy (0 for the lowest one): 0 meV per atom

=====

Which value of total DFT energy (no corrections) does entry 3 give? -95.13 eV for the cell shown